VASP calculation (PBE) on a geometry-optimized Sc2Cu2O5 structure.

Unit cell a=3.2488 b=10.5546 c=12.1258 alpha=90.00 beta=90.00 gamma=90.00
Atoms (fractional coordinates):
O: 0.7145 0.3177 0.5652
O: 0.2713 0.9190 0.9665
O: 0.2855 0.6823 0.0652
O: 0.2799 0.0672 0.2651
O: 0.2041 0.6246 0.6653
O: 0.7855 0.8177 0.5652
O: 0.2821 0.8308 0.3640
O: 0.2201 0.5672 0.2651
O: 0.7041 0.8754 0.1653
O: 0.7287 0.0810 0.4665
O: 0.2179 0.3308 0.3640
O: 0.2959 0.1246 0.6653
O: 0.2287 0.4190 0.9665
O: 0.2145 0.1823 0.0652
O: 0.7959 0.3754 0.1653
O: 0.7799 0.4328 0.7651
O: 0.7821 0.6692 0.8640
O: 0.7713 0.5810 0.4665
O: 0.7201 0.9328 0.7651
O: 0.7179 0.1692 0.8640
Cu: 0.6500 0.2603 0.7213
Cu: 0.3417 0.0096 0.1095
Cu: 0.8417 0.4904 0.6095
Cu: 0.1500 0.2397 0.2213
Cu: 0.1583 0.5096 0.1095
Cu: 0.3500 0.7397 0.2213
Cu: 0.8500 0.7603 0.7213
Cu: 0.6583 0.9904 0.6095
Sc: 0.7801 0.7894 0.0006
Sc: 0.7792 0.9604 0.3304
Sc: 0.2792 0.5396 0.8304
Sc: 0.2801 0.7106 0.5006
Sc: 0.2208 0.0396 0.8304
Sc: 0.2199 0.2106 0.5006
Sc: 0.7199 0.2894 0.0006
Sc: 0.7208 0.4604 0.3304

Summary:
ΔE to the lowest computed polymorph = 0 meV/atom
Symmetry = Pna2_1
Maximum piezoelectric response = 0.1 C/m2
Formation energy = -2.5625 eV/atom



VASP calculation (PBE) on a geometry-optimized ScCuO3 structure.

Unit cell a=3.7289 b=3.7289 c=3.7289 alpha=90.00 beta=90.00 gamma=90.00
Atoms (fractional coordinates):
Sc: 0.0000 0.0000 0.0000
O: 0.5000 0.5000 0.0000
O: 0.0000 0.5000 0.5000
O: 0.5000 0.0000 0.5000
Cu: 0.5000 0.5000 0.5000

Summary:
Symmetry = Pm-3m
Formation energy = -1.8375 eV/atom



VASP calculation (PBE) on a geometry-optimized ScCu2O4 structure.

Unit cell a=6.1213 b=6.1213 c=6.1213 alpha=126.57 beta=126.57 gamma=78.96
Atoms (fractional coordinates):
Cu: 0.8750 0.6250 0.2500
Cu: 0.3750 0.6250 0.2500
Cu: 0.3750 0.1250 0.7500
Cu: 0.3750 0.6250 0.7500
O: 0.7528 0.2921 0.1509
O: 0.9972 0.9579 0.3491
O: 0.0421 0.3912 0.0393
O: 0.6088 0.6481 0.6509
O: 0.1412 0.6019 0.8491
O: 0.3981 0.2472 0.5393
O: 0.7079 0.8588 0.4607
O: 0.3519 0.0028 0.9607
Sc: 0.0000 0.0000 0.0000
Sc: 0.7500 0.2500 0.5000

Summary:
ΔE to the lowest computed polymorph = 0 meV/atom
Symmetry = I4_1/a
Formation energy = -1.9825 eV/atom



VASP calculation (PBE) on a geometry-optimized Cu3SeO8 structure.

Unit cell a=5.9173 b=8.1021 c=13.4726 alpha=90.00 beta=90.00 gamma=90.00
Atoms (fractional coordinates):
O: 0.4922 0.9985 0.3455
O: 0.9945 0.5485 0.4157
O: 0.0055 0.4515 0.5843
O: 0.9922 0.0015 0.6545
O: 0.4922 0.4985 0.1545
O: 0.7500 0.2505 0.7685
O: 0.7500 0.2101 0.5413
O: 0.2500 0.2514 0.6916
O: 0.2500 0.7899 0.4587
O: 0.2500 0.7080 0.0303
O: 0.7500 0.7505 0.7315
O: 0.9945 0.0485 0.0843
O: 0.5078 0.0015 0.6545
O: 0.2500 0.2495 0.2685
O: 0.2500 0.2899 0.0413
O: 0.7500 0.7486 0.3084
O: 0.5055 0.0485 0.0843
O: 0.5078 0.5015 0.8455
O: 0.4945 0.9515 0.9157
O: 0.2500 0.7495 0.2315
O: 0.7500 0.7920 0.5303
O: 0.0055 0.9515 0.9157
O: 0.5055 0.5485 0.4157
O: 0.7500 0.7101 0.9587
O: 0.2500 0.7514 0.8084
O: 0.7500 0.2486 0.1916
O: 0.2500 0.2080 0.4697
O: 0.0078 0.9985 0.3455
O: 0.4945 0.4515 0.5843
O: 0.7500 0.2920 0.9697
O: 0.0078 0.4985 0.1545
O: 0.9922 0.5015 0.8455
Se: 0.2500 0.1134 0.3593
Se: 0.2500 0.6134 0.1407
Se: 0.7500 0.3866 0.8593
Se: 0.7500 0.8866 0.6407
Cu: 0.5017 0.2263 0.6181
Cu: 0.2500 0.4993 0.4982
Cu: 0.9983 0.7263 0.8819
Cu: 0.0017 0.2737 0.1181
Cu: 0.9983 0.2263 0.6181
Cu: 0.4983 0.2737 0.1181
Cu: 0.4983 0.7737 0.3819
Cu: 0.7500 0.0007 0.9982
Cu: 0.7500 0.5007 0.5018
Cu: 0.5017 0.7263 0.8819
Cu: 0.2500 0.9993 0.0018
Cu: 0.0017 0.7737 0.3819

Summary:
Symmetry = Pnma
Formation energy = -0.8284 eV/atom



VASP calculation (PBE) on a geometry-optimized Cu4Se3O10 structure.

Unit cell a=13.6828 b=16.2150 c=18.0187 alpha=90.88 beta=90.00 gamma=90.00
Atoms (fractional coordinates):
O: 0.4703 0.0529 0.6437
O: 0.1924 0.6791 0.0832
O: 0.9671 0.7928 0.1747
O: 0.0272 0.5856 0.4957
O: 0.4812 0.3759 0.7718
O: 0.2641 0.6932 0.2909
O: 0.5903 0.3126 0.9171
O: 0.6817 0.0525 0.8639
O: 0.5188 0.6241 0.2282
O: 0.7870 0.8531 0.5382
O: 0.5770 0.7135 0.5295
O: 0.5233 0.1906 0.0790
O: 0.6155 0.8888 0.7718
O: 0.8183 0.5525 0.8639
O: 0.1040 0.6529 0.3761
O: 0.8857 0.6842 0.3371
O: 0.9230 0.2135 0.5295
O: 0.7550 0.8285 0.1277
O: 0.9703 0.4471 0.3563
O: 0.8295 0.9136 0.0163
O: 0.6642 0.8204 0.4102
O: 0.3741 0.3425 0.8821
O: 0.3358 0.1796 0.5898
O: 0.5562 0.9566 0.9420
O: 0.5970 0.1935 0.8348
O: 0.4022 0.2095 0.7861
O: 0.6742 0.4530 0.8723
O: 0.8258 0.9530 0.8723
O: 0.5272 0.9144 0.5043
O: 0.6657 0.6764 0.3349
O: 0.5585 0.6739 0.6976
O: 0.7047 0.4607 0.4280
O: 0.1143 0.3158 0.6629
O: 0.5466 0.5576 0.8022
O: 0.7650 0.1778 0.6157
O: 0.0903 0.1874 0.0829
O: 0.7953 0.9607 0.4280
O: 0.6924 0.8209 0.9168
O: 0.4767 0.8094 0.9210
O: 0.3076 0.1791 0.0832
O: 0.1883 0.8101 0.1711
O: 0.5707 0.8427 0.0503
O: 0.6143 0.1842 0.3371
O: 0.6189 0.3101 0.4121
O: 0.3003 0.8540 0.7925
O: 0.0461 0.9771 0.6549
O: 0.9022 0.2905 0.2139
O: 0.9534 0.0576 0.8022
O: 0.2521 0.6377 0.7258
O: 0.7641 0.8068 0.7091
O: 0.6883 0.6899 0.8289
O: 0.3960 0.1529 0.3761
O: 0.8741 0.1575 0.1179
O: 0.5329 0.2928 0.1747
O: 0.8709 0.1174 0.9718
O: 0.4534 0.4424 0.1978
O: 0.0466 0.9424 0.1978
O: 0.4488 0.8085 0.4113
O: 0.2450 0.1715 0.8723
O: 0.8960 0.3471 0.6239
O: 0.3857 0.8158 0.6629
O: 0.0978 0.7095 0.7861
O: 0.2309 0.8669 0.5272
O: 0.5297 0.9471 0.3563
O: 0.4415 0.3261 0.3024
O: 0.6997 0.1460 0.2075
O: 0.3258 0.5470 0.1277
O: 0.6259 0.6575 0.1179
O: 0.9293 0.3427 0.0503
O: 0.6291 0.6174 0.9718
O: 0.1763 0.3950 0.2760
O: 0.0562 0.5434 0.0580
O: 0.8343 0.1764 0.3349
O: 0.2953 0.5393 0.5720
O: 0.0770 0.7865 0.4705
O: 0.2000 0.4650 0.6852
O: 0.9097 0.8126 0.9171
O: 0.7691 0.1331 0.4728
O: 0.8117 0.1899 0.8289
O: 0.5461 0.5229 0.3451
O: 0.4671 0.7072 0.8253
O: 0.7309 0.6331 0.4728
O: 0.9415 0.1739 0.6976
O: 0.1657 0.8236 0.6651
O: 0.2479 0.1377 0.7258
O: 0.1997 0.3540 0.7925
O: 0.0329 0.2072 0.8253
O: 0.3811 0.6899 0.5879
O: 0.7359 0.3068 0.7091
O: 0.7350 0.6778 0.6157
O: 0.8811 0.8101 0.4121
O: 0.8358 0.3204 0.4102
O: 0.5512 0.1915 0.5887
O: 0.9539 0.0229 0.3451
O: 0.9438 0.4566 0.9420
O: 0.6705 0.4136 0.0163
O: 0.0585 0.8261 0.3024
O: 0.8003 0.6460 0.2075
O: 0.8845 0.3888 0.7718
O: 0.0297 0.5529 0.6437
O: 0.4728 0.0856 0.4957
O: 0.2550 0.6715 0.8723
O: 0.2130 0.1469 0.4618
O: 0.7780 0.7053 0.0300
O: 0.0233 0.3094 0.9210
O: 0.8237 0.6050 0.7240
O: 0.6040 0.8471 0.6239
O: 0.9488 0.6915 0.5887
O: 0.4554 0.6672 0.3642
O: 0.9728 0.4144 0.5043
O: 0.4438 0.0434 0.0580
O: 0.3845 0.1112 0.2282
O: 0.1155 0.6112 0.2282
O: 0.2220 0.2947 0.9700
O: 0.2780 0.7947 0.9700
O: 0.3295 0.5864 0.9837
O: 0.9554 0.8328 0.6358
O: 0.6763 0.1050 0.7240
O: 0.7479 0.3623 0.2742
O: 0.3709 0.3826 0.0282
O: 0.9812 0.1241 0.2282
O: 0.4030 0.8065 0.1652
O: 0.0446 0.1672 0.3642
O: 0.4539 0.4771 0.6549
O: 0.0970 0.3065 0.1652
O: 0.0707 0.6573 0.9497
O: 0.9767 0.6906 0.0790
O: 0.7000 0.0350 0.3148
O: 0.7450 0.3285 0.1277
O: 0.0188 0.8759 0.7718
O: 0.3183 0.9475 0.1361
O: 0.4293 0.1573 0.9497
O: 0.3237 0.8950 0.2760
O: 0.1642 0.6796 0.5898
O: 0.0512 0.3085 0.4113
O: 0.4097 0.6874 0.0829
O: 0.2650 0.3222 0.3843
O: 0.8000 0.5350 0.3148
O: 0.3000 0.9650 0.6852
O: 0.1705 0.0864 0.9837
O: 0.2870 0.6469 0.4618
O: 0.5446 0.3328 0.6358
O: 0.3343 0.3236 0.6651
O: 0.2691 0.3669 0.5272
O: 0.7130 0.3531 0.5382
O: 0.9030 0.6935 0.8348
O: 0.1189 0.1899 0.5879
O: 0.1259 0.8425 0.8821
O: 0.1817 0.4475 0.1361
O: 0.7521 0.8623 0.2742
O: 0.2350 0.8222 0.3843
O: 0.4230 0.2865 0.4705
O: 0.7220 0.2053 0.0300
O: 0.5978 0.7905 0.2139
O: 0.8076 0.3209 0.9168
O: 0.1291 0.8826 0.0282
O: 0.2359 0.1932 0.2909
O: 0.1742 0.0470 0.1277
O: 0.2047 0.0393 0.5720
O: 0.3117 0.3101 0.1711
Cu: 0.9797 0.2408 0.1344
Cu: 0.2123 0.6661 0.9774
Cu: 0.2996 0.3225 0.2771
Cu: 0.2305 0.2516 0.6285
Cu: 0.1604 0.2402 0.3751
Cu: 0.6448 0.8481 0.5150
Cu: 0.3396 0.7402 0.3751
Cu: 0.2695 0.7516 0.6285
Cu: 0.0203 0.7592 0.8656
Cu: 0.4797 0.2592 0.8656
Cu: 0.6604 0.2598 0.6249
Cu: 0.7123 0.8339 0.0226
Cu: 0.1706 0.5731 0.6380
Cu: 0.3294 0.0731 0.6380
Cu: 0.8552 0.3481 0.5150
Cu: 0.1787 0.5663 0.1132
Cu: 0.5004 0.2377 0.3877
Cu: 0.1421 0.2536 0.8855
Cu: 0.7996 0.1775 0.7229
Cu: 0.3288 0.4249 0.1450
Cu: 0.7938 0.7537 0.8751
Cu: 0.9157 0.2566 0.8713
Cu: 0.4996 0.7623 0.6123
Cu: 0.5626 0.7447 0.3783
Cu: 0.6421 0.2464 0.1145
Cu: 0.7877 0.3339 0.0226
Cu: 0.2938 0.7463 0.1249
Cu: 0.9996 0.7377 0.3877
Cu: 0.8288 0.0751 0.8550
Cu: 0.1582 0.8459 0.7719
Cu: 0.3579 0.7536 0.8855
Cu: 0.3213 0.0663 0.1132
Cu: 0.7062 0.2537 0.8751
Cu: 0.7004 0.6775 0.7229
Cu: 0.5203 0.7408 0.1344
Cu: 0.2062 0.2463 0.1249
Cu: 0.8579 0.7464 0.1145
Cu: 0.7305 0.2484 0.3715
Cu: 0.2877 0.1661 0.9774
Cu: 0.6706 0.9269 0.3620
Cu: 0.0843 0.7434 0.1287
Cu: 0.8396 0.7598 0.6249
Cu: 0.3297 0.4300 0.6162
Cu: 0.8294 0.4269 0.3620
Cu: 0.9374 0.2447 0.3783
Cu: 0.0626 0.7553 0.6217
Cu: 0.0004 0.2623 0.6123
Cu: 0.6787 0.9337 0.8868
Cu: 0.1703 0.9300 0.6162
Cu: 0.1712 0.9249 0.1450
Cu: 0.6703 0.5700 0.3838
Cu: 0.2004 0.8225 0.2771
Cu: 0.3418 0.3459 0.7719
Cu: 0.6712 0.5751 0.8550
Cu: 0.4157 0.2434 0.1287
Cu: 0.8418 0.1541 0.2281
Cu: 0.4374 0.2553 0.6217
Cu: 0.7695 0.7484 0.3715
Cu: 0.8297 0.0700 0.3838
Cu: 0.5843 0.7566 0.8713
Cu: 0.8213 0.4337 0.8868
Cu: 0.6582 0.6541 0.2281
Cu: 0.1448 0.6519 0.4850
Cu: 0.3552 0.1519 0.4850
Se: 0.3199 0.1296 0.8017
Se: 0.8793 0.6023 0.2713
Se: 0.5407 0.4192 0.6992
Se: 0.7971 0.1186 0.0466
Se: 0.5249 0.3728 0.2429
Se: 0.8428 0.1330 0.5491
Se: 0.6012 0.0922 0.7971
Se: 0.1801 0.6296 0.8017
Se: 0.8199 0.3704 0.1983
Se: 0.2971 0.3814 0.9534
Se: 0.3793 0.8977 0.7287
Se: 0.6572 0.6330 0.5491
Se: 0.0407 0.0808 0.3008
Se: 0.0127 0.3878 0.9905
Se: 0.6829 0.8888 0.6935
Se: 0.3171 0.1112 0.3065
Se: 0.1299 0.1070 0.5241
Se: 0.2029 0.8814 0.9534
Se: 0.9873 0.6122 0.0095
Se: 0.9540 0.5824 0.5726
Se: 0.3428 0.3670 0.4509
Se: 0.8988 0.5922 0.7971
Se: 0.6801 0.8704 0.1983
Se: 0.0945 0.0814 0.0573
Se: 0.4055 0.5814 0.0573
Se: 0.5945 0.4186 0.9427
Se: 0.5127 0.1122 0.0095
Se: 0.1012 0.4078 0.2029
Se: 0.1572 0.8670 0.4509
Se: 0.9751 0.8728 0.2429
Se: 0.8171 0.3888 0.6935
Se: 0.9055 0.9186 0.9427
Se: 0.6299 0.3930 0.4759
Se: 0.1829 0.6112 0.3065
Se: 0.6207 0.1023 0.2713
Se: 0.3701 0.6070 0.5241
Se: 0.4540 0.9176 0.4274
Se: 0.1207 0.3977 0.7287
Se: 0.4751 0.6272 0.7571
Se: 0.0249 0.1272 0.7571
Se: 0.8701 0.8930 0.4759
Se: 0.5460 0.0824 0.5726
Se: 0.4593 0.5808 0.3008
Se: 0.3988 0.9078 0.2029
Se: 0.0460 0.4176 0.4274
Se: 0.9593 0.9192 0.6992
Se: 0.7029 0.6186 0.0466
Se: 0.4873 0.8878 0.9905

Summary:
ΔE to the lowest computed polymorph = 5 meV/atom
Symmetry = P2_1/c
Formation energy = -1.0716 eV/atom



VASP calculation (PBE) on a geometry-optimized Cu4Se3O10 structure.

Unit cell a=8.1098 b=8.2684 c=8.4994 alpha=77.45 beta=65.67 gamma=81.51
Atoms (fractional coordinates):
Se: 0.1639 0.1890 0.4705
Se: 0.8361 0.8110 0.5295
Se: 0.5961 0.2025 0.8396
Se: 0.0561 0.7181 0.8770
Se: 0.9439 0.2819 0.1230
Se: 0.4039 0.7975 0.1604
Cu: 0.6076 0.1624 0.4860
Cu: 0.3216 0.4492 0.6101
Cu: 0.9074 0.4367 0.7400
Cu: 0.6784 0.5508 0.3899
Cu: 0.4861 0.6311 0.8232
Cu: 0.3924 0.8376 0.5140
Cu: 0.5139 0.3689 0.1768
Cu: 0.0926 0.5633 0.2600
O: 0.8521 0.1337 0.3027
O: 0.7786 0.3050 0.6699
O: 0.5426 0.7968 0.2695
O: 0.9089 0.4645 0.2163
O: 0.1446 0.2958 0.6360
O: 0.3724 0.0802 0.4236
O: 0.7791 0.3260 0.0364
O: 0.2392 0.3484 0.2867
O: 0.1479 0.8663 0.6973
O: 0.8554 0.7042 0.3640
O: 0.5289 0.3863 0.3982
O: 0.4711 0.6137 0.6018
O: 0.4802 0.3579 0.9594
O: 0.2214 0.6950 0.3301
O: 0.2209 0.6740 0.9636
O: 0.6276 0.9198 0.5764
O: 0.4574 0.2032 0.7305
O: 0.7608 0.6516 0.7133
O: 0.5198 0.6421 0.0406
O: 0.0911 0.5355 0.7837

Summary:
ΔE to the lowest computed polymorph = 0 meV/atom
Symmetry = P-1
Formation energy = -1.0765 eV/atom